#P
Here is a relaxed GeC4NCl3 crystal from the Materials Project database. Energies are from PBE.

Summary:
magnetization: 0.000 μB per atom

Cell: 15.148 8.129 7.956 Å, 90.00 90.00 90.00°
Space group Pnma (No. 62)
Symmetry-distinct sites (fractional):
Ge: 0.218 0.250 0.246 (multiplicity 4)
C: 0.027 0.250 0.693 (multiplicity 4)
C: 0.097 0.167 0.622 (multiplicity 8)
C: 0.116 0.750 0.149 (multiplicity 4)
N: 0.048 0.750 0.226 (multiplicity 4)
Cl: 0.072 0.250 0.175 (multiplicity 4)
Cl: 0.204 0.024 0.454 (multiplicity 8)

---

#Q
Here is a relaxed GeC4NCl3 crystal from the Materials Project database. Energies are from PBE.

Summary:
magnetization: 0.111 μB per atom

Cell: 11.408 8.860 8.333 Å, 90.00 90.00 90.00°
Space group Pnma (No. 62)
Symmetry-distinct sites (fractional):
Ge: 0.229 0.250 0.223 (multiplicity 4)
C: 0.008 0.624 0.221 (multiplicity 8)
C: 0.011 0.750 0.103 (multiplicity 4)
C: 0.062 0.750 0.312 (multiplicity 4)
N: 0.081 0.250 0.739 (multiplicity 4)
Cl: 0.058 0.250 0.344 (multiplicity 4)
Cl: 0.238 0.048 0.071 (multiplicity 8)

---

#R
Here is a relaxed GeC4NCl3 crystal from the Materials Project database. Energies are from PBE.

Summary:
magnetization: 0.136 μB per atom

Cell: 12.085 8.123 8.500 Å, 90.00 90.00 90.00°
Space group Pna2_1 (No. 33)
Symmetry-distinct sites (fractional):
Ge: 0.225 0.224 0.000 (multiplicity 4)
C: 0.023 0.101 0.472 (multiplicity 4)
C: 0.032 0.770 0.874 (multiplicity 4)
C: 0.056 0.321 0.463 (multiplicity 4)
C: 0.081 0.747 0.034 (multiplicity 4)
N: 0.029 0.221 0.604 (multiplicity 4)
Cl: 0.060 0.338 0.004 (multiplicity 4)
Cl: 0.235 0.062 0.795 (multiplicity 4)
Cl: 0.236 0.070 0.213 (multiplicity 4)

---

Which is more stable than every other structure shown? #P is more stable than every other one.